Entry 1:
Density functional theory data (GGA-PBE) for a relaxed structure of KAlS2O14.

a b c (Å): 15.138 15.138 15.138
angles (deg): 90.00 90.00 90.00
Fractional coordinates of all 72 atoms:
S 0.825 0.825 0.825
S 0.325 0.825 0.675
S 0.325 0.675 0.175
S 0.675 0.325 0.825
S 0.175 0.325 0.675
S 0.675 0.175 0.325
S 0.175 0.175 0.175
S 0.825 0.675 0.325
O 0.476 0.024 0.884
O 0.618 0.686 0.686
O 0.024 0.524 0.884
O 0.618 0.814 0.186
O 0.118 0.814 0.314
O 0.382 0.314 0.314
O 0.476 0.384 0.476
O 0.976 0.384 0.024
O 0.814 0.314 0.118
O 0.232 0.268 0.732
O 0.384 0.476 0.476
O 0.976 0.476 0.116
O 0.186 0.882 0.314
O 0.884 0.476 0.024
O 0.024 0.976 0.384
O 0.524 0.524 0.616
O 0.314 0.382 0.314
O 0.616 0.976 0.024
O 0.976 0.116 0.524
O 0.524 0.976 0.116
O 0.814 0.382 0.186
O 0.976 0.024 0.616
O 0.768 0.768 0.768
O 0.314 0.314 0.382
O 0.732 0.268 0.768
O 0.686 0.686 0.618
O 0.314 0.186 0.882
O 0.186 0.814 0.382
O 0.232 0.232 0.232
O 0.882 0.186 0.686
O 0.186 0.686 0.882
O 0.686 0.618 0.686
O 0.186 0.618 0.814
O 0.314 0.118 0.814
O 0.024 0.884 0.476
O 0.268 0.732 0.232
O 0.814 0.118 0.686
O 0.268 0.768 0.732
O 0.884 0.024 0.524
O 0.382 0.186 0.814
O 0.686 0.882 0.186
O 0.524 0.884 0.024
O 0.732 0.232 0.268
O 0.476 0.476 0.384
O 0.686 0.814 0.118
O 0.814 0.186 0.618
O 0.476 0.116 0.976
O 0.118 0.686 0.814
O 0.616 0.524 0.524
O 0.384 0.024 0.976
O 0.882 0.314 0.186
O 0.116 0.976 0.476
O 0.024 0.616 0.976
O 0.116 0.524 0.976
O 0.524 0.616 0.524
O 0.768 0.732 0.268
Al 0.500 0.000 0.000
Al 0.000 0.500 0.000
Al 0.000 0.000 0.500
Al 0.500 0.500 0.500
K 0.000 0.500 0.500
K 0.500 0.000 0.500
K 0.000 0.000 0.000
K 0.500 0.500 0.000

## Properties
ΔH_f (0 K), meV per atom: 401
M_tot, μB/cell: 32.08

=====

Entry 2:
Density functional theory data (GGA-PBE) for a relaxed structure of LuH18C3S3O18F9.

a b c (Å): 13.476 13.476 7.675
angles (deg): 90.00 90.00 120.00
Fractional coordinates of all 104 atoms:
F 0.840 0.056 0.750
F 0.226 0.106 0.107
F 0.894 0.119 0.107
F 0.894 0.119 0.393
F 0.774 0.894 0.893
F 0.216 0.160 0.750
F 0.881 0.774 0.107
F 0.056 0.216 0.250
F 0.226 0.106 0.393
F 0.106 0.881 0.607
F 0.881 0.774 0.393
F 0.160 0.944 0.250
F 0.106 0.881 0.893
F 0.774 0.894 0.607
F 0.944 0.784 0.750
F 0.119 0.226 0.893
F 0.784 0.840 0.250
F 0.119 0.226 0.607
O 0.608 0.981 0.589
O 0.790 0.455 0.959
O 0.545 0.335 0.541
O 0.335 0.790 0.041
O 0.392 0.019 0.411
O 0.483 0.137 0.750
O 0.019 0.627 0.589
O 0.373 0.392 0.911
O 0.517 0.863 0.250
O 0.346 0.483 0.250
O 0.137 0.654 0.250
O 0.737 0.538 0.250
O 0.665 0.210 0.959
O 0.019 0.627 0.911
O 0.210 0.545 0.459
O 0.981 0.373 0.411
O 0.608 0.981 0.911
O 0.790 0.455 0.541
O 0.627 0.608 0.089
O 0.545 0.335 0.959
O 0.665 0.210 0.541
O 0.462 0.200 0.250
O 0.863 0.346 0.750
O 0.373 0.392 0.589
O 0.210 0.545 0.041
O 0.200 0.737 0.750
O 0.455 0.665 0.041
O 0.335 0.790 0.459
O 0.392 0.019 0.089
O 0.654 0.517 0.750
O 0.538 0.800 0.750
O 0.627 0.608 0.411
O 0.263 0.462 0.750
O 0.800 0.263 0.250
O 0.981 0.373 0.089
O 0.455 0.665 0.459
S 0.074 0.687 0.750
S 0.926 0.313 0.250
S 0.613 0.926 0.750
S 0.687 0.613 0.250
S 0.313 0.387 0.750
S 0.387 0.074 0.250
H 0.516 0.281 0.441
H 0.652 0.558 0.646
H 0.348 0.442 0.354
H 0.641 0.129 0.935
H 0.719 0.235 0.441
H 0.484 0.719 0.559
H 0.235 0.516 0.559
H 0.512 0.641 0.435
H 0.129 0.488 0.065
H 0.235 0.516 0.941
H 0.516 0.281 0.059
H 0.094 0.652 0.354
H 0.129 0.488 0.435
H 0.359 0.871 0.065
H 0.558 0.906 0.146
H 0.558 0.906 0.354
H 0.281 0.765 0.559
H 0.871 0.512 0.565
H 0.281 0.765 0.941
H 0.359 0.871 0.435
H 0.094 0.652 0.146
H 0.765 0.484 0.059
H 0.488 0.359 0.565
H 0.765 0.484 0.441
H 0.906 0.348 0.854
H 0.871 0.512 0.935
H 0.512 0.641 0.065
H 0.442 0.094 0.646
H 0.484 0.719 0.941
H 0.906 0.348 0.646
H 0.488 0.359 0.935
H 0.641 0.129 0.565
H 0.719 0.235 0.059
H 0.652 0.558 0.854
H 0.348 0.442 0.146
H 0.442 0.094 0.854
C 0.240 0.056 0.250
C 0.944 0.184 0.250
C 0.056 0.816 0.750
C 0.816 0.760 0.250
C 0.760 0.944 0.750
C 0.184 0.240 0.750
Lu 0.667 0.333 0.750
Lu 0.333 0.667 0.250

## Properties
ΔH_f (0 K), meV per atom: -1661
M_tot, μB/cell: 0.02

=====

Entry 3:
Density functional theory data (GGA-PBE) for a relaxed structure of ZnAg2SnSe4.

a b c (Å): 7.537 7.537 7.537
angles (deg): 133.78 133.78 67.43
Fractional coordinates of all 8 atoms:
Ag 0.750 0.250 0.500
Ag 0.250 0.750 0.500
Se 0.637 0.124 0.000
Se 0.363 0.363 0.487
Se 0.876 0.876 0.513
Se 0.124 0.637 0.000
Sn 0.500 0.500 0.000
Zn 0.000 0.000 0.000

## Properties
ΔH_f (0 K), meV per atom: -585
M_tot, μB/cell: 0.00

=====

Entry 4:
Density functional theory data (GGA-PBE) for a relaxed structure of Ba3GaP3.

a b c (Å): 10.386 10.386 13.142
angles (deg): 90.00 90.00 141.98
Fractional coordinates of all 28 atoms:
P 0.653 0.966 0.883
P 0.699 0.699 0.595
P 0.966 0.653 0.883
P 0.466 0.153 0.617
P 0.153 0.466 0.617
P 0.199 0.199 0.905
P 0.347 0.034 0.117
P 0.534 0.847 0.383
P 0.034 0.347 0.117
P 0.801 0.801 0.095
P 0.847 0.534 0.383
P 0.301 0.301 0.405
Ba 0.672 0.672 0.849
Ba 0.328 0.328 0.151
Ba 0.514 0.865 0.130
Ba 0.986 0.635 0.630
Ba 0.635 0.986 0.630
Ba 0.365 0.014 0.370
Ba 0.865 0.514 0.130
Ba 0.135 0.486 0.870
Ba 0.486 0.135 0.870
Ba 0.014 0.365 0.370
Ba 0.172 0.172 0.651
Ba 0.828 0.828 0.349
Ga 0.916 0.084 0.000
Ga 0.416 0.584 0.500
Ga 0.584 0.416 0.500
Ga 0.084 0.916 0.000

## Properties
ΔH_f (0 K), meV per atom: -948

=====

What is the ΔH_f (0 K) in the third record? -585 meV per atom

=====

Which of these has the lowest ΔH_f (0 K)? LuH18C3S3O18F9

=====

Look up the ΔH_f (0 K) of the second one. -1661 meV per atom